# 1
Fe10O11F9 (PBE+U, relaxed); VASP energy = -6.027 eV/atom; energy above the lowest structure with this stoichiometry = 0.6 kJ per mole of atoms; symmetry = P1 (1); calculated formation energy = -5667.3 kJ/mol of formula units
1.0
4.706 0.000 0.000
0.045 4.707 0.000
0.076 0.042 15.497
Fe O F
10 11 9
Cartesian
4.789 4.603 15.397
0.184 4.708 12.483
0.213 4.659 9.335
4.773 4.538 6.217
0.085 4.528 3.068
2.539 2.386 14.000
2.398 2.497 7.824
2.347 2.479 10.689
2.430 2.556 4.684
2.388 2.547 1.564
1.086 3.767 13.906
1.007 3.874 10.922
0.977 3.826 7.765
0.932 3.793 4.653
0.917 3.795 1.494
3.363 3.269 15.479
3.387 3.350 9.312
3.293 3.282 6.250
3.282 3.294 3.102
1.489 1.464 9.284
3.883 0.940 13.902
3.371 3.286 12.354
1.439 1.401 0.012
1.562 1.506 12.380
1.442 1.433 6.192
1.421 1.431 3.076
3.828 0.956 7.736
3.842 0.993 10.921
3.755 0.932 1.535
3.774 0.945 4.659

# 2
Fe6O7F6 (PBE+U, relaxed); VASP energy = -5.877 eV/atom; symmetry = C2/m (12); calculated formation energy = -3458.3 kJ/mol of formula units
1.0
1.914 7.633 0.000
-1.914 7.633 0.000
0.000 1.649 9.342
Fe O F
6 7 6
Cartesian
0.000 3.201 8.448
0.000 3.581 5.302
0.000 4.021 2.174
0.000 12.896 7.168
0.000 13.335 4.040
0.000 13.715 0.894
0.000 0.000 0.000
0.000 5.668 1.069
0.000 4.801 7.135
0.000 5.179 3.952
0.000 11.737 5.390
0.000 12.115 2.207
0.000 11.248 8.273
0.000 2.694 0.798
0.000 2.205 6.625
0.000 2.596 3.604
0.000 14.320 5.738
0.000 14.711 2.717
0.000 14.223 8.544